Material: CaZn2Ge2
Method: DFT, PBE
State: optimized geometry

Computed properties:
Energy of formation from the pure elements   -0.3247 eV/atom
Total energy   -3.08 eV/atom
Space-group type   I4/mmm, No. 139

Lattice parameters (Å, degrees): 6.1556 6.1556 6.1556 138.87 138.87 59.57
With the nearest neighbours (Å) after each atom.
Sites, in units of the cell vectors:
Zn 0.7500 0.2500 0.5000  4 Ge 2.58
Zn 0.2500 0.7500 0.5000  4 Ge 2.58
Ge 0.3824 0.3824 0.0000  1 Ge 2.51, 4 Zn 2.58
Ge 0.6176 0.6176 0.0000  1 Ge 2.51, 4 Zn 2.58
Ca 0.0000 0.0000 0.0000  8 Ge 3.31, 8 Zn 3.44